This record from the Materials Project database describes Ti3Hg after structural relaxation. The functional is r2SCAN.

a = 5.177 Å, b = 5.177 Å, c = 5.177 Å
α = 90.00°, β = 90.00°, γ = 90.00°
Space group Pm-3n (No. 223)
Symmetry-distinct sites (fractional):
Ti 0.000 0.250 0.500 x6
Hg 0.000 0.000 0.000 x2

Output
Size of the total moment ... 0.00 Bohr magnetons per cell

---

This record from the Materials Project database describes Tm2TlHg after structural relaxation. The functional is r2SCAN.

a = 7.370 Å, b = 7.370 Å, c = 7.370 Å
α = 90.00°, β = 90.00°, γ = 90.00°
Space group Fm-3m (No. 225)
Symmetry-distinct sites (fractional):
Tm 0.250 0.250 0.250 x8
Tl 0.000 0.000 0.000 x4
Hg 0.000 0.000 0.500 x4

Output
Size of the total moment ... 0.00 Bohr magnetons per cell

---

no.,calculated formation energy (eV per atom)
1,-0.129
2,-0.479